MnPH15C3NCl3O3: relaxed, PBE+U.

**Total moment**: 9.994 μB per cell
**Formation enthalpy at 0 K**: -0.749 eV per atom

Cell lengths 6.5431, 8.7455, 11.0906 Å; angles 90.00, 90.00, 99.66 degrees
Element x y z (fractional)
H (0.9769, 0.5287, 0.6243)
C (0.5188, 0.1909, 0.9876)
H (0.6237, 0.5415, 0.3686)
Cl (0.8345, 0.5773, 0.9827)
O (0.9105, 0.8840, 0.5207)
N (0.0978, 0.4033, 0.1822)
H (0.8989, 0.5770, 0.3887)
N (0.9022, 0.5967, 0.6822)
H (0.8795, 0.5424, 0.7653)
P (0.2696, 0.2465, 0.0007)
P (0.7304, 0.7535, 0.5007)
H (0.9982, 0.2991, 0.2000)
C (0.4812, 0.8091, 0.4876)
H (0.6359, 0.8805, 0.8617)
H (0.1011, 0.4230, 0.8887)
H (0.3763, 0.4585, 0.8686)
O (0.7857, 0.9057, 0.8472)
H (0.3641, 0.1195, 0.3617)
Cl (0.7480, 0.1882, 0.6655)
H (0.0231, 0.4713, 0.1243)
H (0.4754, 0.8739, 0.4036)
H (0.5246, 0.1261, 0.9036)
Cl (0.2520, 0.8118, 0.1655)
H (0.6181, 0.6765, 0.7027)
O (0.7588, 0.8965, 0.1304)
O (0.0895, 0.1160, 0.0207)
H (0.7810, 0.7020, 0.2917)
H (0.5457, 0.1172, 0.0637)
H (0.0018, 0.7009, 0.7000)
H (0.2190, 0.2980, 0.7917)
C (0.6998, 0.6228, 0.6321)
C (0.2382, 0.3680, 0.8743)
C (0.3002, 0.3772, 0.1321)
H (0.3819, 0.3235, 0.2027)
H (0.3906, 0.1443, 0.6254)
H (0.2297, 0.0128, 0.6850)
Cl (0.2588, 0.8390, 0.8196)
Mn (0.9932, 0.1336, 0.4986)
Cl (0.7412, 0.1610, 0.3196)
Cl (0.1655, 0.4227, 0.4827)
O (0.2143, 0.0943, 0.3472)
H (0.8036, 0.0019, 0.7986)
H (0.6094, 0.8557, 0.1254)
H (0.6362, 0.2968, 0.9852)
H (0.3926, 0.4891, 0.1063)
H (0.1205, 0.4576, 0.2653)
O (0.2412, 0.1035, 0.6304)
H (0.6074, 0.5109, 0.6063)
H (0.1964, 0.9981, 0.2986)
C (0.7618, 0.6320, 0.3743)
Mn (0.0068, 0.8664, 0.9986)
H (0.3638, 0.7032, 0.4852)
H (0.4543, 0.8828, 0.5637)
H (0.7703, 0.9872, 0.1850)

V2CoP2O10: relaxed, PBE+U.

**Total moment**: 10.000 μB per cell
**Formation enthalpy at 0 K**: -2.478 eV per atom
**Energy above the most stable polymorph in this dataset**: 0 meV per atom

Cell lengths 7.4153, 6.4357, 7.4459 Å; angles 89.80, 90.00, 90.00 degrees
Element x y z (fractional)
O (0.9937, 0.2234, 0.2076)
O (0.3376, 0.7703, 0.6111)
O (0.2580, 0.4440, 0.8528)
O (0.7580, 0.5560, 0.6472)
O (0.7510, 0.9397, 0.1218)
O (0.5063, 0.2234, 0.7076)
O (0.1624, 0.7703, 0.1111)
Co (0.0000, 0.0000, 0.0000)
O (0.2510, 0.0603, 0.3782)
P (0.1211, 0.2514, 0.3728)
O (0.5091, 0.7401, 0.9544)
O (0.0063, 0.7766, 0.7924)
V (0.2794, 0.7429, 0.8333)
O (0.7490, 0.9397, 0.6218)
V (0.7794, 0.2571, 0.6667)
O (0.4909, 0.2599, 0.0456)
O (0.7420, 0.5560, 0.1472)
Co (0.5000, 0.0000, 0.5000)
O (0.4937, 0.7766, 0.2924)
O (0.2490, 0.0603, 0.8782)
O (0.6624, 0.2297, 0.3889)
V (0.7206, 0.2571, 0.1667)
P (0.8789, 0.7486, 0.6272)
O (0.2420, 0.4440, 0.3528)
V (0.2206, 0.7429, 0.3333)
O (0.0091, 0.2599, 0.5456)
P (0.6211, 0.7486, 0.1272)
P (0.3789, 0.2514, 0.8728)
O (0.8376, 0.2297, 0.8889)
O (0.9909, 0.7401, 0.4544)

Fe3P6O20: relaxed, PBE+U.

**Total moment**: 28.004 μB per cell
**Formation enthalpy at 0 K**: -2.369 eV per atom

Cell lengths 8.4408, 8.4408, 12.4437 Å; angles 90.00, 90.00, 105.23 degrees
Element x y z (fractional)
Fe (0.8613, 0.8613, 0.0000)
Fe (0.7048, 0.2952, 0.2500)
P (0.1479, 0.7390, 0.5136)
O (0.1511, 0.9212, 0.5176)
O (0.3063, 0.7279, 0.9111)
Fe (0.1387, 0.1387, 0.5000)
P (0.0945, 0.3655, 0.1800)
P (0.3655, 0.0945, 0.8200)
P (0.2610, 0.8521, 0.9864)
O (0.9486, 0.3318, 0.2546)
O (0.8285, 0.7897, 0.6853)
O (0.9651, 0.6406, 0.5569)
O (0.3318, 0.9486, 0.7454)
O (0.0349, 0.3594, 0.0569)
O (0.1622, 0.6768, 0.4004)
O (0.5326, 0.7339, 0.7310)
O (0.6937, 0.2721, 0.4111)
O (0.6406, 0.9651, 0.4431)
O (0.2696, 0.9905, 0.2850)
O (0.7339, 0.5326, 0.2690)
O (0.6768, 0.1622, 0.5996)
O (0.5219, 0.2270, 0.8017)
P (0.6345, 0.9055, 0.3200)
P (0.1750, 0.3013, 0.7264)
O (0.1715, 0.2103, 0.1853)
Fe (0.2473, 0.7527, 0.2500)
O (0.4781, 0.7730, 0.3017)
O (0.3594, 0.0349, 0.9431)
O (0.0095, 0.7304, 0.2150)
O (0.0788, 0.8489, 0.9824)
O (0.0514, 0.6682, 0.7546)
O (0.2461, 0.2583, 0.6190)
O (0.2721, 0.6937, 0.5889)
O (0.9212, 0.1511, 0.4824)
Fe (0.2952, 0.7048, 0.7500)
P (0.6987, 0.8250, 0.7736)
P (0.9055, 0.6345, 0.6800)
O (0.7304, 0.0095, 0.7850)
O (0.7417, 0.7539, 0.8810)
P (0.8250, 0.6987, 0.2264)
O (0.7730, 0.4781, 0.6983)
O (0.3232, 0.8378, 0.0996)
Fe (0.7527, 0.2473, 0.7500)
O (0.2103, 0.1715, 0.8147)
O (0.7897, 0.8285, 0.3147)
O (0.8489, 0.0788, 0.0176)
O (0.2661, 0.4674, 0.7690)
P (0.3013, 0.1750, 0.2736)
O (0.7279, 0.3063, 0.0889)
O (0.4674, 0.2661, 0.2310)
O (0.7539, 0.7417, 0.1190)
O (0.2583, 0.2461, 0.3810)
O (0.6682, 0.0514, 0.2454)
O (0.9905, 0.2696, 0.7150)
P (0.7390, 0.1479, 0.4864)
P (0.8521, 0.2610, 0.0136)
O (0.8378, 0.3232, 0.9004)
O (0.2270, 0.5219, 0.1983)

Ca8TiMn7O21: relaxed, PBE+U.

**Total moment**: 108.000 μB per cell
**Formation enthalpy at 0 K**: -2.662 eV per atom
**Energy above the most stable polymorph in this dataset**: 0 meV per atom

Cell lengths 11.0187, 15.4224, 10.9954 Å; angles 90.00, 91.42, 90.47 degrees
Element x y z (fractional)
Ca (0.7806, 0.1240, 0.7514)
O (0.8560, 0.4799, 0.6469)
O (0.6606, 0.2272, 0.8571)
Ca (0.7339, 0.3846, 0.7546)
Mn (0.7416, 0.9968, 0.4967)
Ca (0.2375, 0.4049, 0.7734)
O (0.6055, 0.7628, 0.6003)
Mn (0.0021, 0.5015, 0.2528)
O (0.7437, 0.3771, 0.4617)
O (0.5983, 0.7586, 0.1114)
Ti (0.9926, 0.2544, 0.2716)
Ca (0.5196, 0.8601, 0.9809)
Mn (0.5117, 0.2475, 0.7526)
O (0.1578, 0.7484, 0.3379)
O (0.6110, 0.4882, 0.1064)
O (0.6364, 0.0304, 0.8468)
Mn (0.5109, 0.7518, 0.2608)
Ca (0.2365, 0.8828, 0.2764)
O (0.7490, 0.3763, 0.9709)
O (0.2019, 0.1467, 0.0376)
Ca (0.4963, 0.3801, 0.5110)
Ca (0.9880, 0.1168, 0.0119)
O (0.6366, 0.0221, 0.3416)
Ca (0.9660, 0.8701, 0.5149)
O (0.3532, 0.7632, 0.6415)
O (0.3053, 0.3347, 0.0165)
Ca (0.5500, 0.1267, 0.9865)
O (0.1453, 0.7375, 0.8517)
O (0.8935, 0.5174, 0.8993)
O (0.4752, 0.3745, 0.2919)
Ca (0.2648, 0.6301, 0.7390)
O (0.6213, 0.5280, 0.3629)
Mn (0.9932, 0.2585, 0.7628)
Mn (0.7498, 0.2507, 0.5042)
O (0.4904, 0.3746, 0.7756)
O (0.2811, 0.3732, 0.4705)
O (0.6504, 0.7277, 0.8563)
O (0.9895, 0.6246, 0.7200)
O (0.5115, 0.8708, 0.7726)
Mn (0.2371, 0.4946, 0.5102)
Ca (0.2282, 0.1215, 0.2427)
Ca (0.7466, 0.8645, 0.2495)
O (0.0065, 0.6269, 0.2143)
O (0.3928, 0.5106, 0.9055)
O (0.6018, 0.4850, 0.6134)
Mn (0.2378, 0.0041, 0.5085)
O (0.9986, 0.1315, 0.7268)
Mn (0.7540, 0.7452, 0.0006)
O (0.8548, 0.9797, 0.1460)
Mn (0.5043, 0.9902, 0.2288)
O (0.5902, 0.2608, 0.0945)
Ca (0.7765, 0.1181, 0.2520)
O (0.7547, 0.1236, 0.5341)
Mn (0.5028, 0.7467, 0.7483)
Mn (0.5054, 0.9954, 0.7327)
Ca (0.2210, 0.1137, 0.7297)
Ca (0.0061, 0.6239, 0.5137)
Ca (0.2235, 0.8733, 0.7294)
O (0.9957, 0.3788, 0.2871)
O (0.8942, 0.7297, 0.4079)
Ca (0.9551, 0.8762, 0.9965)
Mn (0.5073, 0.4903, 0.2436)
Mn (0.5168, 0.2527, 0.2502)
Ca (0.2385, 0.6247, 0.2655)
Mn (0.7524, 0.7462, 0.5039)
O (0.0097, 0.8731, 0.7941)
O (0.3522, 0.0228, 0.1434)
O (0.6587, 0.2234, 0.3442)
O (0.8998, 0.7330, 0.9026)
Mn (0.2482, 0.7498, 0.4990)
O (0.1501, 0.5075, 0.3554)
O (0.9097, 0.2392, 0.9224)
O (0.7456, 0.6248, 0.5442)
O (0.0155, 0.3795, 0.8014)
O (0.3562, 0.5128, 0.1670)
Ca (0.5437, 0.1255, 0.4750)
Ca (0.2389, 0.3922, 0.2467)
Mn (0.9975, 0.7490, 0.2634)
O (0.2785, 0.8837, 0.4784)
Mn (0.9917, 0.9946, 0.7546)
O (0.8529, 0.7713, 0.6486)
O (0.0931, 0.9825, 0.6168)
O (0.3454, 0.0063, 0.6530)
O (0.4002, 0.7036, 0.3706)
O (0.1509, 0.0090, 0.3531)
O (0.8427, 0.9796, 0.6422)
Mn (0.7521, 0.5035, 0.0025)
Ti (0.9899, 0.9925, 0.2610)
O (0.1024, 0.9697, 0.1084)
O (0.7453, 0.6244, 0.0421)
O (0.2271, 0.6213, 0.5251)
Mn (0.4962, 0.5005, 0.7494)
Ca (0.7323, 0.8663, 0.7456)
O (0.6433, 0.5167, 0.8574)
Ca (0.5338, 0.6213, 0.9740)
O (0.4605, 0.8719, 0.2825)
Mn (0.2540, 0.5161, 0.0131)
Mn (0.7577, 0.2502, 0.0040)
O (0.2957, 0.8782, 0.9957)
O (0.8673, 0.7712, 0.1427)
Ca (0.7739, 0.6238, 0.7563)
O (0.9281, 0.2364, 0.4188)
Ca (0.9911, 0.1094, 0.5182)
O (0.5954, 0.9897, 0.0801)
Ca (0.9650, 0.3876, 0.0054)
Ca (0.0183, 0.6222, 0.9920)
O (0.1711, 0.0116, 0.8669)
O (0.9986, 0.1249, 0.2250)
Mn (0.2665, 0.2458, 0.4492)
Ca (0.5104, 0.3864, 0.9860)
O (0.8927, 0.0131, 0.8967)
Ca (0.7486, 0.3793, 0.2467)
O (0.6565, 0.7257, 0.3540)
O (0.5900, 0.9916, 0.5774)
O (0.7430, 0.8726, 0.9640)
O (0.1506, 0.5255, 0.8645)
O (0.4098, 0.7306, 0.8996)
Ca (0.7798, 0.6223, 0.2581)
O (0.8937, 0.5199, 0.3904)
Ca (0.9593, 0.3889, 0.5042)
O (0.2280, 0.6509, 0.0605)
Ca (0.4897, 0.8651, 0.5063)
O (0.8910, 0.0127, 0.3919)
Ti (0.2693, 0.2317, 0.9459)
Ti (0.2350, 0.9890, 0.0188)
O (0.1005, 0.7705, 0.6086)
Mn (0.9990, 0.7507, 0.7517)
O (0.8583, 0.4836, 0.1465)
O (0.0033, 0.8728, 0.2906)
O (0.4009, 0.1879, 0.3440)
O (0.1121, 0.4764, 0.1077)
O (0.7563, 0.1255, 0.0406)
Mn (0.2636, 0.7535, 0.9804)
Mn (0.9975, 0.4999, 0.7560)
O (0.8541, 0.2771, 0.6558)
O (0.1624, 0.2552, 0.2854)
Mn (0.7446, 0.9997, 0.9931)
O (0.2123, 0.1329, 0.5230)
O (0.5699, 0.2506, 0.5862)
O (0.1718, 0.2526, 0.8104)
Ca (0.5299, 0.6304, 0.5125)
O (0.7479, 0.8728, 0.4595)
Mn (0.7440, 0.5026, 0.5023)
O (0.3943, 0.1794, 0.8618)
O (0.0992, 0.4733, 0.6198)
O (0.4855, 0.6235, 0.7198)
O (0.3529, 0.4880, 0.6440)
O (0.8597, 0.2689, 0.1555)